NaLiHfWO6 GGA+U relaxed; symmetry = F-43m (216); size of the total moment = 0.000 μB per atom; total energy = -74.535 eV per formula unit
1.0
0.000 3.997 3.997
3.997 0.000 3.997
3.997 3.997 0.000
Na Li Hf W O
1 1 1 1 6
direct
0.000 0.000 0.000 Na
0.500 0.500 0.500 Li
0.750 0.750 0.750 Hf
0.250 0.250 0.250 W
0.007 0.007 0.493 O
0.007 0.493 0.007 O
0.007 0.493 0.493 O
0.493 0.007 0.007 O
0.493 0.007 0.493 O
0.493 0.493 0.007 O